1.
! PBE-GGA Ca2Bi10O17, optimized geometry; values from VASP
! **MP2020-corrected energy**: -179.738 eV/f.u.
! **ΔE to the lowest computed polymorph**: 0.00 eV per formula unit
! **DFT formation energy**: -52.7 eV per formula unit
&SYSTEM
  ibrav = 0, nat = 29, ntyp = 3
/
ATOMIC_SPECIES
O 16.00 O.upf
Bi 208.98 Bi.upf
Ca 40.08 Ca.upf
ATOMIC_POSITIONS crystal
O 0.333 0.168 0.903
O 0.721 0.858 0.110
O 0.195 0.326 0.112
O 0.604 0.554 0.323
O 0.798 0.626 0.895
O 0.297 0.670 0.896
O 0.958 0.956 0.737
O 0.496 0.773 0.594
O 0.709 0.361 0.114
O 0.210 0.865 0.111
O 0.608 0.063 0.303
O 0.111 0.556 0.303
O 0.633 0.318 0.590
O 0.107 0.045 0.348
O 0.812 0.168 0.890
O 0.415 0.462 0.739
O 0.050 0.283 0.588
Bi 0.524 0.498 0.995
Bi 0.241 0.144 0.673
Bi 0.779 0.389 0.338
Bi 0.018 0.011 0.982
Bi 0.749 0.108 0.664
Bi 0.283 0.887 0.330
Bi 0.227 0.608 0.676
Bi 0.774 0.886 0.328
Bi 0.273 0.380 0.332
Bi 0.705 0.616 0.669
Ca 0.017 0.508 0.019
Ca 0.521 0.012 0.019
CELL_PARAMETERS angstrom
-1.436 -3.759 6.641
-1.710 7.688 -0.326
-8.126 -2.022 -5.066

2.
! PBE-GGA CaBi2O4, optimized geometry; values from VASP
! **MP2020-corrected energy**: -43.795 eV/f.u.
! **DFT formation energy**: -14.2 eV per formula unit
&SYSTEM
  ibrav = 0, nat = 28, ntyp = 3
/
ATOMIC_SPECIES
Ca 40.08 Ca.upf
O 16.00 O.upf
Bi 208.98 Bi.upf
ATOMIC_POSITIONS crystal
Ca 0.191 0.750 0.865
Ca 0.809 0.750 0.365
Ca 0.191 0.250 0.635
Ca 0.809 0.250 0.135
O 0.262 0.500 0.750
O 0.275 0.379 0.024
O 0.725 0.621 0.976
O 0.311 0.750 0.225
O 0.275 0.879 0.476
O 0.689 0.750 0.725
O 0.275 0.121 0.024
O 0.725 0.879 0.976
O 0.262 0.000 0.750
O 0.738 0.000 0.250
O 0.738 0.500 0.250
O 0.725 0.379 0.524
O 0.689 0.250 0.775
O 0.311 0.250 0.275
O 0.275 0.621 0.476
O 0.725 0.121 0.524
Bi 0.288 0.077 0.381
Bi 0.288 0.423 0.381
Bi 0.288 0.577 0.119
Bi 0.288 0.923 0.119
Bi 0.712 0.923 0.619
Bi 0.712 0.577 0.619
Bi 0.712 0.077 0.881
Bi 0.712 0.423 0.881
CELL_PARAMETERS angstrom
-1.926 -2.847 -0.063
9.103 -6.221 2.835
-2.483 1.433 11.119

3.
! PBE-GGA CaBi4O9, optimized geometry; values from VASP
! **MP2020-corrected energy**: -86.660 eV/f.u.
! **DFT formation energy**: -24.6 eV per formula unit
&SYSTEM
  ibrav = 0, nat = 28, ntyp = 3
/
ATOMIC_SPECIES
Bi 208.98 Bi.upf
O 16.00 O.upf
Ca 40.08 Ca.upf
ATOMIC_POSITIONS crystal
Bi 0.755 0.611 0.359
Bi 0.690 0.791 0.556
Bi 0.310 0.209 0.444
Bi 0.310 0.791 0.056
Bi 0.755 0.389 0.141
Bi 0.690 0.209 0.944
Bi 0.245 0.389 0.641
Bi 0.245 0.611 0.859
O 0.531 0.500 0.750
O 0.093 0.794 0.196
O 0.408 0.893 0.634
O 0.479 0.713 0.444
O 0.047 0.726 0.962
O 0.907 0.206 0.804
O 0.953 0.274 0.038
O 0.521 0.713 0.944
O 0.907 0.794 0.696
O 0.521 0.287 0.556
O 0.047 0.274 0.538
O 0.953 0.726 0.462
O 0.479 0.287 0.056
O 0.592 0.107 0.366
O 0.408 0.107 0.866
O 0.469 0.500 0.250
O 0.093 0.206 0.304
O 0.592 0.893 0.134
Ca 0.763 0.000 0.750
Ca 0.237 0.000 0.250
CELL_PARAMETERS angstrom
-4.992 0.389 -2.915
-1.312 -8.257 1.144
-5.458 -5.699 8.585

4.
! PBE-GGA CaBi2O5, optimized geometry; values from VASP
! **MP2020-corrected energy**: -50.061 eV/f.u.
! **ΔE to the lowest computed polymorph**: 0.28 eV per formula unit
! **DFT formation energy**: -15.5 eV per formula unit
&SYSTEM
  ibrav = 0, nat = 48, ntyp = 3
/
ATOMIC_SPECIES
O 16.00 O.upf
Ca 40.08 Ca.upf
Bi 208.98 Bi.upf
ATOMIC_POSITIONS crystal
O 0.754 0.246 0.750
O 0.541 0.135 0.588
O 0.135 0.541 0.088
O 0.103 0.217 0.884
O 0.540 0.135 0.909
O 0.534 0.451 0.106
O 0.209 0.794 0.574
O 0.460 0.865 0.091
O 0.549 0.466 0.394
O 0.783 0.897 0.616
O 0.791 0.206 0.426
O 0.246 0.754 0.250
O 0.884 0.782 0.381
O 0.116 0.218 0.619
O 0.217 0.103 0.384
O 0.922 0.432 0.248
O 0.466 0.549 0.894
O 0.865 0.460 0.591
O 0.865 0.459 0.912
O 0.206 0.791 0.926
O 0.218 0.116 0.119
O 0.782 0.884 0.881
O 0.451 0.534 0.606
O 0.794 0.209 0.074
O 0.135 0.540 0.409
O 0.459 0.865 0.412
O 0.568 0.078 0.252
O 0.897 0.783 0.116
O 0.078 0.568 0.752
O 0.432 0.922 0.748
Ca 0.027 0.304 0.429
Ca 0.696 0.973 0.071
Ca 0.304 0.027 0.929
Ca 0.676 0.324 0.250
Ca 0.973 0.696 0.571
Ca 0.324 0.676 0.750
Bi 0.639 0.355 0.943
Bi 0.355 0.639 0.443
Bi 0.025 0.299 0.068
Bi 0.986 0.349 0.748
Bi 0.361 0.645 0.057
Bi 0.349 0.986 0.248
Bi 0.014 0.651 0.252
Bi 0.645 0.361 0.557
Bi 0.299 0.025 0.568
Bi 0.651 0.014 0.752
Bi 0.975 0.701 0.932
Bi 0.701 0.975 0.432
CELL_PARAMETERS angstrom
5.798 6.495 0.000
-5.798 6.495 0.000
0.000 0.011 11.350

It is found that the calculated total energy values, taken in the order of the records, are -168.06, -164.19, -160.95, -279.76 eV/cell.